1.
Below is crystalline MnFeP at its relaxed geometry, with properties calculated at the PBE-GGA level.

Lattice parameters (Å, degrees): 5.7873 3.5175 6.6201 90.00 90.00 90.00
Element x y z (fractional)
1 Mn 0.0302 0.2500 0.1718
2 Mn 0.4698 0.7500 0.6718
3 Mn 0.5302 0.2500 0.3282
4 Mn 0.9698 0.7500 0.8282
5 Fe 0.1474 0.2500 0.5627
6 Fe 0.3526 0.7500 0.0627
7 Fe 0.6474 0.2500 0.9373
8 Fe 0.8526 0.7500 0.4373
9 P 0.2308 0.7500 0.3760
10 P 0.2692 0.2500 0.8760
11 P 0.7308 0.7500 0.1240
12 P 0.7692 0.2500 0.6240

Summary:
**Energy**: -8.239 eV per atom

=====

2.
Below is crystalline Pu3Ru at its relaxed geometry, with properties calculated at the PBE-GGA level.

Lattice parameters (Å, degrees): 5.8409 5.8409 5.8409 139.68 139.68 58.33
Element x y z (fractional)
1 Pu 0.0000 0.0000 0.0000
2 Pu 0.2500 0.7500 0.5000
3 Pu 0.7500 0.2500 0.5000
4 Ru 0.5000 0.5000 0.0000

Summary:
**Energy**: -12.917 eV per atom

=====

3.
Below is crystalline CsNaMg6O7 at its relaxed geometry, with properties calculated at the PBE-GGA level.

Lattice parameters (Å, degrees): 4.7403 4.7403 8.1702 90.00 90.00 90.00
Element x y z (fractional)
1 Cs 0.0000 0.0000 0.0000
2 Na 0.0000 0.0000 0.5789
3 Mg 0.0000 0.5000 0.3379
4 Mg 0.0000 0.5000 0.8330
5 Mg 0.5000 0.0000 0.3379
6 Mg 0.5000 0.0000 0.8330
7 Mg 0.5000 0.5000 0.0984
8 Mg 0.5000 0.5000 0.5871
9 O 0.0000 0.0000 0.3209
10 O 0.0000 0.5000 0.0870
11 O 0.0000 0.5000 0.5992
12 O 0.5000 0.0000 0.0870
13 O 0.5000 0.0000 0.5992
14 O 0.5000 0.5000 0.3424
15 O 0.5000 0.5000 0.8432

Summary:
**Energy above the lowest structure with this stoichiometry**: 88.9 meV/atom
**Energy**: -4.948 eV per atom

=====

4.
Below is crystalline MgSb2O4 at its relaxed geometry, with properties calculated at the PBE-GGA level.

Lattice parameters (Å, degrees): 6.5129 7.1271 16.9517 89.15 89.25 63.03
Element x y z (fractional)
1 Mg 0.0000 0.0000 0.0000
2 Mg 0.0367 0.0687 0.6349
3 Mg 0.1308 0.7325 0.8004
4 Mg 0.4099 0.0216 0.1380
5 Mg 0.7700 0.5757 0.3264
6 Mg 0.8935 0.3314 0.4804
7 Sb 0.1283 0.2697 0.7994
8 Sb 0.3050 0.4081 0.6090
9 Sb 0.3490 0.8354 0.4392
10 Sb 0.3671 0.2544 0.3329
11 Sb 0.3922 0.5926 0.1206
12 Sb 0.4177 0.1934 0.9735
13 Sb 0.6289 0.7385 0.6984
14 Sb 0.6401 0.6218 0.9227
15 Sb 0.6856 0.1606 0.8052
16 Sb 0.8433 0.8452 0.5098
17 Sb 0.9315 0.5162 0.1567
18 Sb 0.9790 0.9573 0.2685
19 O 0.0587 0.3291 0.3792
20 O 0.0811 0.3137 0.5750
21 O 0.1250 0.7163 0.5803
22 O 0.1633 0.7762 0.3586
23 O 0.1904 0.4665 0.7208
24 O 0.2017 0.1382 0.0417
25 O 0.2221 0.8657 0.1849
26 O 0.2365 0.7112 0.0214
27 O 0.2941 0.2342 0.2227
28 O 0.2956 0.9308 0.7124
29 O 0.4593 0.5955 0.8366
30 O 0.5026 0.9337 0.3554
31 O 0.5435 0.9267 0.9071
32 O 0.6069 0.8512 0.5858
33 O 0.6160 0.5571 0.4301
34 O 0.6179 0.7184 0.1049
35 O 0.6718 0.0984 0.0497
36 O 0.7570 0.4261 0.2276
37 O 0.8114 0.9049 0.7333
38 O 0.8328 0.1157 0.5369
39 O 0.8710 0.2626 0.7327
40 O 0.8955 0.7229 0.2465
41 O 0.9307 0.5566 0.8504
42 O 0.9616 0.0252 0.8747

Summary:
**Energy above the lowest structure with this stoichiometry**: 159.1 meV/atom
**Energy**: -5.855 eV per atom

=====

energy of number 1 (MnFeP)?
-8.239 eV per atom